[1]
15
Lattice="3.111 4.687 0.000 -3.111 4.687 0.000 0.000 3.336 7.173" Properties=species:S:1:pos:R:3 comment="V2Fe2PbO8F2 PBE+U optimized geometry" delta_e_f_ev_per_atom=-2.17 total_magnetization_mub_per_fu=10.001 pbc="T T T"
V 0.000 6.153 1.672
O 0.000 5.078 4.415
Fe -1.556 4.011 3.586
F 0.000 9.760 4.227
O 0.000 6.742 0.114
V 0.000 6.556 5.501
O -1.425 5.143 1.917
Pb 0.000 0.000 0.000
O 0.000 7.631 2.758
O 1.425 7.567 5.256
F 0.000 2.949 2.946
O 0.000 5.967 7.059
Fe 1.556 4.011 3.586
O 1.425 5.143 1.917
O -1.425 7.567 5.256


[2]
18
Lattice="-3.668 -2.871 -4.150 -2.787 -1.977 5.219 -5.193 6.878 -0.168" Properties=species:S:1:pos:R:3 comment="Rb2FeOF5 PBE+U optimized geometry" delta_e_f_ev_per_atom=-2.32 total_magnetization_mub_per_fu=5.000 pbc="T T T"
F -4.833 -0.935 0.544
F -4.103 2.613 0.136
Rb -6.018 0.818 -1.612
F -6.106 -1.844 2.693
O -10.329 0.327 0.940
F -6.465 -2.208 -1.125
O -1.319 1.704 -0.039
F -5.183 4.238 2.026
F -6.405 5.662 0.062
F -7.545 -0.583 0.765
Rb -3.034 -2.227 2.597
F -6.815 2.966 0.358
F -5.243 -3.631 0.839
F -5.542 3.874 -1.792
Fe -6.317 -2.050 0.789
Fe -5.331 4.080 0.112
Rb -5.630 1.212 2.513
Rb -3.421 -2.621 -1.528


[3]
18
Lattice="4.145 -4.964 0.000 4.145 4.964 0.000 0.000 0.000 8.039" Properties=species:S:1:pos:R:3 comment="Rb2FeOF5 PBE+U optimized geometry" delta_e_f_ev_per_atom=-2.25 total_magnetization_mub_per_fu=5.687 pbc="T T T"
F 8.214 0.000 6.029
F 4.145 3.013 0.000
Fe 0.000 0.000 4.019
Rb 2.242 2.275 2.010
F 1.913 0.000 7.983
F 6.376 0.000 0.056
O 4.777 0.000 2.010
O 3.513 0.000 6.029
Rb 6.048 -2.275 6.029
Rb 6.048 2.275 6.029
Fe 0.000 0.000 0.000
F 6.376 0.000 3.964
Rb 2.242 -2.275 2.010
F 4.145 3.013 4.019
F 0.076 0.000 2.010
F 4.145 -3.013 0.000
F 4.145 -3.013 4.019
F 1.913 0.000 4.075


[4]
14
Lattice="0.733 -4.814 1.706 4.855 -0.079 -1.859 4.864 -0.037 5.576" Properties=species:S:1:pos:R:3 comment="FeSO4F PBE+U optimized geometry" delta_e_f_ev_per_atom=-1.98 total_magnetization_mub_per_fu=5.000 pbc="T T T"
O 7.164 -3.652 3.236
F 5.411 -0.382 3.720
Fe 4.860 -0.058 1.859
F 5.042 -4.548 1.703
O 5.899 -1.641 1.190
O 4.553 -3.289 4.233
Fe 0.000 0.000 0.000
O 1.414 -1.310 0.635
O 8.340 -1.606 3.624
S 1.960 -1.852 1.911
O 9.039 -3.620 4.788
O 2.113 -3.323 1.799
O 3.289 -1.277 2.187
S 8.493 -3.077 3.512


[5]
28
Lattice="0.000 -7.240 0.000 6.422 0.000 -3.663 0.029 0.000 7.433" Properties=species:S:1:pos:R:3 comment="FeSO4F PBE+U optimized geometry" delta_e_f_ev_per_atom=-1.99 total_magnetization_mub_per_fu=0.000 pbc="T T T"
F 3.233 -4.837 3.743
O 0.624 -1.793 0.848
F 0.022 -1.217 5.575
O 5.398 -3.720 1.267
S 3.218 -6.301 0.027
S 6.444 -4.560 1.912
F 0.007 -6.023 1.858
S 3.233 -0.940 3.743
O 5.383 -3.520 -2.449
Fe 4.816 -5.430 -2.747
O 1.068 -3.720 6.220
Fe 1.605 -1.810 -0.916
O 3.850 -1.827 2.733
F 3.218 -2.403 0.027
Fe 1.620 -5.430 2.801
O 2.172 -7.140 -0.618
O 3.835 -5.413 -0.983
O 0.639 -5.447 4.565
O 1.053 -3.520 2.503
O 5.827 -5.447 2.922
O 4.264 -7.140 0.671
O 5.812 -1.793 -0.795
S 0.007 -2.680 1.858
O 2.601 -5.413 1.037
Fe 4.831 -1.810 0.969
O 2.616 -1.827 4.754
O 2.187 -0.100 3.099
O 4.279 -0.100 4.388


[6]
18
Lattice="4.003 0.003 -0.865 -0.189 4.000 -0.863 3.756 3.931 17.392" Properties=species:S:1:pos:R:3 comment="Sr2Fe2S2OF2 PBE+U optimized geometry" delta_e_f_ev_per_atom=-2.40 total_magnetization_mub_per_fu=0.000 pbc="T T T"
F 6.725 4.951 11.747
Fe 5.786 3.968 7.399
F 4.847 2.985 3.051
O 5.663 5.932 16.527
Sr 1.233 1.291 5.710
Sr 5.018 5.257 13.541
F 4.630 6.949 11.748
S 3.430 3.595 6.186
Fe 3.880 1.967 8.263
S 4.169 4.374 -0.084
O 1.878 1.965 8.696
Fe 3.662 5.931 16.960
Sr 6.337 6.643 9.953
S 4.140 4.338 9.477
S 3.401 3.559 15.747
Fe 5.758 3.932 16.959
F 2.751 4.984 3.052
Sr 2.552 2.676 2.122


[7]
9
Lattice="-2.081 0.213 3.601 -0.840 -4.072 -0.245 9.427 0.001 3.041" Properties=species:S:1:pos:R:3 comment="Sr2Fe2Se2OF2 PBE+U optimized geometry" delta_e_f_ev_per_atom=-2.25 total_magnetization_mub_per_fu=0.000 pbc="T T T"
Se 4.951 -3.482 5.476
F 3.563 -3.000 2.237
Se 1.554 -0.376 0.921
Sr 1.336 -2.606 3.335
Fe -1.041 0.106 1.800
F 2.942 -0.858 4.160
Fe 6.926 -1.822 6.519
Sr 5.169 -1.252 3.062
O -1.461 -1.929 1.678


[8]
56
Lattice="5.558 0.000 0.000 0.000 5.558 0.000 0.000 0.000 26.482" Properties=species:S:1:pos:R:3 comment="Sr2FeO3F PBE+U optimized geometry" delta_e_f_ev_per_atom=-2.88 total_magnetization_mub_per_fu=5.000 pbc="T T T"
F 4.168 1.389 20.727
Sr 4.168 1.389 4.981
O 0.000 2.779 16.602
O 1.389 1.389 14.329
Fe 1.389 1.389 16.259
O 4.168 1.389 25.395
Sr 1.389 4.168 18.222
Sr 4.168 1.389 1.382
O 0.000 0.000 23.122
Sr 4.168 4.168 25.100
Sr 4.168 1.389 18.222
O 0.000 0.000 3.361
Sr 1.389 1.389 25.100
Sr 1.389 4.168 14.623
F 1.389 1.389 5.755
F 1.389 1.389 18.996
O 1.389 4.168 25.395
Sr 1.389 1.389 8.261
O 0.000 2.779 23.122
Sr 1.389 4.168 4.981
F 1.389 4.168 20.727
F 4.168 4.168 18.996
Fe 4.168 1.389 23.464
Fe 1.389 1.389 3.018
Sr 4.168 4.168 11.859
Fe 1.389 4.168 10.223
Fe 4.168 4.168 3.018
O 2.779 0.000 23.122
Sr 4.168 4.168 8.261
O 4.168 4.168 1.088
Sr 1.389 1.389 21.502
O 2.779 2.779 3.361
O 2.779 2.779 23.122
Fe 1.389 4.168 23.464
O 0.000 2.779 9.881
O 2.779 0.000 16.602
O 1.389 1.389 1.088
Sr 1.389 1.389 11.859
O 1.389 4.168 12.153
F 4.168 4.168 5.755
Fe 4.168 4.168 16.259
O 0.000 2.779 3.361
O 4.168 1.389 12.153
Sr 1.389 4.168 1.382
F 1.389 4.168 7.486
O 0.000 0.000 9.881
Sr 4.168 1.389 14.623
O 4.168 4.168 14.329
O 2.779 0.000 3.361
Sr 4.168 4.168 21.502
O 2.779 2.779 9.881
O 2.779 0.000 9.881
O 0.000 0.000 16.602
O 2.779 2.779 16.602
F 4.168 1.389 7.486
Fe 4.168 1.389 10.223


[9]
28
Lattice="-0.424 -4.443 -3.312 5.308 0.628 -1.523 6.174 -9.597 7.420" Properties=species:S:1:pos:R:3 comment="Sr2FeO3F PBE+U optimized geometry" delta_e_f_ev_per_atom=-2.89 total_magnetization_mub_per_fu=0.000 pbc="T T T"
Sr 5.599 -2.630 -1.853
Fe 6.893 -5.296 1.558
O 3.896 -0.684 -1.913
Sr 2.733 -5.165 -2.748
Fe 8.547 -11.362 4.821
O 8.204 -6.436 0.588
O 3.684 -2.905 -3.569
O 7.992 -8.658 -1.068
Fe 6.105 -9.455 7.238
O 6.333 -4.143 0.082
O 5.338 -8.972 -0.306
O 5.545 -8.302 5.763
Sr 8.319 -8.233 5.315
F 5.545 -5.178 -3.091
O 5.551 -6.750 1.350
O 7.987 -10.209 3.345
Sr 6.240 -6.609 -1.260
Sr 4.811 -6.789 3.827
O 1.242 -0.998 -1.152
F 3.103 -3.271 -0.673
Fe 4.027 -7.831 0.663
O 1.030 -3.220 -2.808
O 3.467 -6.678 -0.812
Sr 5.452 -10.768 4.421
Sr 7.253 -8.696 1.410
Sr 3.798 -4.702 1.158
F 7.624 -6.802 3.484
F 4.758 -9.337 2.589


[10]
34
Lattice="7.538 0.000 0.000 -0.881 7.763 0.000 -3.096 -3.835 8.747" Properties=species:S:1:pos:R:3 comment="Fe2Pb3F12 PBE+U optimized geometry" delta_e_f_ev_per_atom=-2.67 pbc="T T T"
Fe 3.080 4.042 3.801
F -0.128 4.011 2.344
F 2.430 5.660 2.986
F 3.732 -2.371 8.084
F 1.548 3.421 4.775
Pb 2.282 5.849 0.269
F 3.564 5.084 5.454
F -0.172 6.300 0.663
Fe 0.481 -0.114 4.946
F 2.013 0.507 3.972
Pb 1.278 -1.921 8.477
F 0.849 0.899 6.541
F 4.036 2.498 4.643
F -1.373 -0.564 5.569
F 4.672 6.618 1.464
Pb 4.391 0.238 3.337
Fe 6.106 5.365 1.834
F 5.483 4.398 0.267
F 2.711 3.029 2.206
F 5.565 1.691 1.783
F -1.922 -0.470 8.479
Pb 0.508 1.795 1.773
Fe -2.545 -1.436 6.913
F 4.934 4.492 3.178
F -2.005 2.238 6.964
F 3.114 0.328 1.230
Pb -0.831 3.690 5.410
F 1.131 -1.732 5.761
Pb 3.052 2.133 6.974
F -1.111 -2.690 7.282
F 0.447 3.600 7.517
F -0.475 1.430 4.104
F 3.689 -0.082 6.403
F -0.003 -1.156 3.293


[11]
54
Lattice="-7.318 7.318 3.955 7.318 -7.318 3.955 7.318 7.318 -3.955" Properties=species:S:1:pos:R:3 comment="Fe3Pb5F19 PBE+U optimized geometry" delta_e_f_ev_per_atom=-2.67 total_magnetization_mub_per_fu=15.001 pbc="T T T"
F 1.537 3.630 0.797
Fe 0.000 0.000 5.923
Pb 3.333 -1.030 3.106
F -3.688 5.781 4.751
Fe 4.959 2.358 3.540
F -0.941 4.503 2.241
F 3.665 3.653 -0.955
F -1.537 3.630 4.751
F -1.060 6.258 4.241
F 1.684 5.633 3.177
F 1.684 9.002 -0.778
F 6.258 1.060 4.241
F 5.577 8.164 2.064
F 8.855 3.688 0.797
F 3.688 5.781 0.797
F 1.741 0.846 2.064
F 4.503 0.941 2.241
F 10.133 -0.941 2.241
F 8.259 -2.815 2.241
F 5.633 -1.684 3.177
F 0.000 0.000 0.023
F 2.815 8.259 2.241
Pb 6.288 -3.984 3.106
F 1.060 6.258 0.286
F 8.378 1.060 0.286
Pb 3.984 6.288 3.106
F 8.164 5.577 -1.891
F 6.376 2.815 2.241
F 5.577 6.471 -1.891
F 6.471 5.577 2.064
F 1.741 -0.846 6.019
Pb 1.030 3.333 3.106
F 0.941 10.133 2.241
Pb -3.984 8.348 3.106
F 3.665 -3.653 3.000
Pb 6.288 3.984 -0.849
F 0.846 1.741 6.019
Pb 7.318 0.000 2.291
Pb 8.348 3.984 3.106
F -2.815 6.376 2.241
F 5.781 3.688 4.751
Fe -2.358 4.959 3.540
F 3.653 10.970 -0.955
F 3.653 3.665 3.000
F 5.633 1.684 -0.778
F 3.630 1.537 4.751
F 0.000 0.000 3.978
F -0.846 1.741 2.064
Pb 0.000 7.318 2.291
F 11.006 1.537 0.797
Fe 2.358 4.959 -0.414
Fe 9.676 2.358 -0.414
Fe 0.000 0.000 1.968
Pb 3.984 8.348 -0.849


[12]
36
Lattice="7.138 0.000 0.000 0.000 7.577 0.000 0.000 0.000 10.335" Properties=species:S:1:pos:R:3 comment="RbFe2F6 PBE+U optimized geometry" delta_e_f_ev_per_atom=-2.76 pbc="T T T"
F 4.473 7.506 3.442
F 6.233 0.072 8.609
Fe 5.016 5.683 2.395
Rb 7.083 1.894 3.909
F 6.665 1.894 0.372
F 0.458 1.894 6.822
F 0.473 5.683 9.963
F 5.269 3.312 6.003
F 1.700 3.312 9.500
F 4.026 1.894 8.681
Fe 1.448 5.683 2.773
Fe 3.569 3.789 5.168
F 0.904 7.506 1.726
Fe 0.000 3.789 0.000
Fe 0.000 0.000 0.000
Fe 3.569 0.000 5.168
F 3.096 1.894 4.795
F 4.042 5.683 5.540
Rb 0.055 5.683 6.427
F 6.233 3.717 8.609
F 3.111 5.683 1.655
F 6.680 5.683 3.513
F 2.665 0.072 6.894
F 5.269 0.477 6.003
Fe 2.121 1.894 7.941
F 1.869 7.100 4.332
F 2.665 3.717 6.894
F 1.869 4.266 4.332
F 4.473 3.861 3.442
F 5.438 7.100 0.835
Fe 5.690 1.894 7.562
Rb 3.624 5.683 9.076
F 0.904 3.861 1.726
F 1.700 0.477 9.500
F 5.438 4.266 0.835
Rb 3.514 1.894 1.259


| no. | DFT total energy (hartree per atom) |
| --- | --- |
| 1 | -0.2462 |
| 2 | -0.1658 |
| 3 | -0.1631 |
| 4 | -0.2240 |
| 5 | -0.2244 |
| 6 | -0.2117 |
| 7 | -0.2050 |
| 8 | -0.2309 |
| 9 | -0.2313 |
| 10 | -0.1866 |
| 11 | -0.1863 |
| 12 | -0.1917 |